Record 1
# Mg3Si4

Crystalline Mg3Si4 at its relaxed geometry (PBE, the Materials Project database).

Cell and atoms, written as extended XYZ:
```
14
Lattice="5.2262 0.0000 0.0000 -0.9899 6.7256 0.0000 -2.5529 -2.4919 7.2338" Properties=species:S:1:pos:R:3 pbc="T T T"
Mg 0.2289 3.6586 3.4741
Mg 2.7836 1.9912 2.9799
Mg 0.7101 2.9446 6.4688
Mg -2.0215 5.4382 3.0948
Mg -0.0151 1.1221 1.3295
Mg 0.2384 -0.8096 6.5781
Si 1.5661 3.9240 1.0739
Si -1.9710 1.1478 6.0859
Si 2.7893 -1.3096 5.6360
Si 2.3314 -0.3338 1.3277
Si 4.0589 3.5700 1.0454
Si -1.9281 3.5645 5.2787
Si 0.0198 1.2149 4.3415
Si 1.5339 -0.4626 3.7071
```

energy of formation = 0.1384 eV/atom
magnetic moment = 0.00 μB/cell
E above lowest polymorph = 45 meV per atom
space group = P1 (1)

---

Record 2
# Mg4Si3

Crystalline Mg4Si3 at its relaxed geometry (PBE, the Materials Project database).

Cell and atoms, written as extended XYZ:
```
14
Lattice="3.8676 -3.2526 -3.4933 -6.3616 0.2243 -3.2829 4.0999 5.9325 -1.3852" Properties=species:S:1:pos:R:3 pbc="T T T"
Mg 1.9093 4.1484 -5.6583
Mg 5.5749 2.9938 -4.2173
Mg -1.7220 4.5012 -3.9302
Mg 2.7813 1.5852 -4.2785
Mg -2.3583 1.4658 -4.7400
Mg 0.7616 0.2145 -1.7370
Mg 1.3408 -0.8159 -5.1722
Mg 5.4639 -0.2120 -4.0721
Si -4.0907 0.5796 -2.6122
Si 0.9783 4.5745 -2.8686
Si 0.3298 1.7525 -5.4956
Si 3.0293 -0.7852 -3.0988
Si -0.1113 2.3883 -3.1796
Si 3.2664 3.8463 -2.9003
```

energy of formation = 0.0333 eV/atom
magnetic moment = 0.00 μB/cell
E above lowest polymorph = 30 meV per atom
space group = P1 (1)

---

Record 3
# Mg5Si6

Crystalline Mg5Si6 at its relaxed geometry (PBE, the Materials Project database).

Cell and atoms, written as extended XYZ:
```
22
Lattice="4.0919 0.0000 0.0000 -0.0416 6.5459 0.0000 -0.2289 -1.3451 15.0612" Properties=species:S:1:pos:R:3 pbc="T T T"
Mg 2.3086 1.6197 5.7604
Mg 0.2201 0.4428 7.9896
Mg 2.2030 3.9461 12.0127
Mg 2.2524 -0.2037 10.1013
Mg 0.1155 5.1935 14.5088
Mg 2.2434 2.6421 9.2173
Mg 2.4172 1.3395 1.7211
Mg 2.2300 4.9223 6.9861
Mg 2.2191 0.7352 13.2323
Mg 2.3631 4.5170 0.6000
Si 0.4326 3.6390 4.9966
Si 0.1784 2.7179 13.3959
Si 0.0429 -0.4630 5.2859
Si 0.1235 3.4848 2.4383
Si 0.3795 2.5454 0.1667
Si 0.4541 5.9342 2.2394
Si 0.1846 4.5853 9.6113
Si 0.1920 1.6931 11.0798
Si 2.4112 4.7933 3.7934
Si 0.3641 1.3792 3.7289
Si 0.2190 3.0800 7.3397
Si 0.1839 -0.6557 11.8847
```

energy of formation = 0.1670 eV/atom
magnetic moment = 0.00 μB/cell
E above lowest polymorph = 101 meV per atom
space group = P1 (1)

---

Record 4
# Mg4Si7

Crystalline Mg4Si7 at its relaxed geometry (PBE, the Materials Project database).

Cell and atoms, written as extended XYZ:
```
22
Lattice="3.9795 0.0000 0.0000 0.0000 6.7235 0.0000 0.0000 0.5917 14.6101" Properties=species:S:1:pos:R:3 pbc="T T T"
Si 0.0000 4.7259 14.0409
Si 1.9897 1.5050 1.0836
Si 1.9897 1.4796 4.1356
Si 1.9897 2.1698 8.1367
Si 1.9897 5.5030 10.1185
Si 1.9897 3.8842 4.6496
Si 1.9897 0.5366 6.3805
Si 0.0000 5.6351 11.7544
Si 0.0000 0.4448 2.6666
Si 1.9897 4.0228 0.8701
Si 1.9897 1.2243 10.3223
Si 0.0000 1.4046 11.7768
Si 0.0000 2.2442 14.0877
Si 1.9897 5.5011 2.7604
Mg 1.9897 3.5346 12.2435
Mg 0.0000 6.8428 8.4565
Mg 0.0000 3.5140 9.5899
Mg 0.0000 2.5945 6.1206
Mg 1.9897 4.7291 7.3690
Mg 1.9897 6.8501 13.6456
Mg 0.0000 5.8072 5.1069
Mg 0.0000 3.2248 2.7525
```

energy of formation = 0.1649 eV/atom
magnetic moment = 0.00 μB/cell
E above lowest polymorph = 19 meV per atom
space group = Pm (6)

---

Record 5
# Mg2Si3

Crystalline Mg2Si3 at its relaxed geometry (PBE, the Materials Project database).

Cell and atoms, written as extended XYZ:
```
20
Lattice="3.7326 0.0000 0.0000 -1.7115 -4.7957 0.0000 -1.7470 0.4896 -19.8675" Properties=species:S:1:pos:R:3 pbc="T T T"
Si -1.6869 -3.4029 -16.1966
Si -1.6724 -2.5271 -19.2282
Si -1.7109 -3.7052 -7.4588
Si 1.9849 -0.6009 -12.4087
Si 0.1306 -1.4621 -10.9322
Si 0.1708 -2.1191 -17.3662
Si -1.6231 -4.4070 -13.9028
Si 1.9609 -0.9032 -3.6710
Si 1.8971 0.1009 -5.9648
Si 0.1434 -2.8440 -8.9353
Si 0.1032 -2.1870 -2.5013
Si 1.9464 -1.7790 -0.6393
Mg 1.9702 -0.7831 -8.7872
Mg 0.0831 -1.8588 -6.2050
Mg 1.9827 0.1246 -18.4086
Mg -1.6962 -3.5231 -11.0803
Mg -1.7087 -4.4307 -1.4589
Mg 1.9667 -0.6988 -15.5676
Mg 0.1909 -2.4473 -13.6626
Mg -1.6927 -3.6073 -4.2999
```

energy of formation = 0.1932 eV/atom
magnetic moment = 0.00 μB/cell
E above lowest polymorph = 114 meV per atom
space group = P-1 (2)

---

Record 6
# Mg4Si3

Crystalline Mg4Si3 at its relaxed geometry (PBE, the Materials Project database).

Cell and atoms, written as extended XYZ:
```
14
Lattice="5.3221 0.0000 0.0000 -0.6117 5.7010 0.0000 -2.0320 -2.0938 8.5913" Properties=species:S:1:pos:R:3 pbc="T T T"
Mg 1.5824 0.4383 1.8542
Mg -0.9254 1.6506 8.4724
Mg -0.2324 3.1265 2.4681
Mg -1.6056 3.3184 5.1074
Mg 2.9108 0.4807 6.1231
Mg 3.6038 1.9566 0.1188
Mg 4.2841 0.2888 3.4839
Mg 1.0961 3.1689 6.7371
Si 1.3392 1.8036 4.2956
Si -1.1328 -1.3600 7.7844
Si 3.8112 4.9672 0.8068
Si 1.6451 -1.0469 4.2956
Si 2.4434 3.3009 2.4601
Si 0.2351 0.3063 6.1311
```

energy of formation = 0.1171 eV/atom
magnetic moment = 0.02 μB/cell
E above lowest polymorph = 113 meV per atom
space group = P-1 (2)

---

Record 7
# Mg4Si3

Crystalline Mg4Si3 at its relaxed geometry (PBE, the Materials Project database).

Cell and atoms, written as extended XYZ:
```
14
Lattice="-2.9311 -5.1010 3.7736 -2.2112 -5.6921 -3.6840 3.9715 -6.0959 1.2868" Properties=species:S:1:pos:R:3 pbc="T T T"
Mg -2.0700 -6.3231 -0.5468
Mg -0.9183 -14.1381 0.5101
Mg 0.6273 -4.9412 -0.3720
Mg 0.1592 -11.8573 -1.6400
Mg -3.2234 -11.9579 0.6450
Mg -3.0500 -7.2819 2.2785
Mg -1.7707 -9.2326 0.1225
Mg 1.2752 -9.3081 1.0388
Si 0.3029 -10.8303 3.2077
Si -1.3377 -4.3847 -2.3033
Si -1.2243 -4.8386 1.9218
Si -0.2504 -2.6867 1.2557
Si -0.6449 -11.4871 1.0891
Si -0.3345 -7.0816 1.4851
```

energy of formation = 0.0579 eV/atom
magnetic moment = 0.00 μB/cell
E above lowest polymorph = 54 meV per atom
space group = P1 (1)

---

Record 8
# Mg4Si7

Crystalline Mg4Si7 at its relaxed geometry (PBE, the Materials Project database).

Cell and atoms, written as extended XYZ:
```
22
Lattice="3.9353 0.0000 0.0000 0.0000 6.8152 0.0000 0.0000 0.8966 14.6428" Properties=species:S:1:pos:R:3 pbc="T T T"
Si 0.0000 3.2973 3.0470
Si 1.9677 6.7652 6.5778
Si 0.0000 1.7538 14.0962
Si 1.9677 1.6778 8.2122
Si 1.9677 0.6774 10.3760
Si 0.0000 4.2670 14.0748
Si 1.9677 5.0151 10.1872
Si 1.9677 3.3411 1.1110
Si 1.9677 3.4631 4.6180
Si 0.0000 5.1657 11.7886
Si 0.0000 0.8360 2.9868
Si 0.0000 0.8499 11.8103
Si 1.9677 0.9942 4.4244
Si 1.9677 0.8504 1.0390
Mg 1.9677 6.3589 13.6420
Mg 0.0000 5.4673 1.4279
Mg 1.9677 4.2327 7.3772
Mg 0.0000 6.3535 8.5309
Mg 0.0000 2.1093 6.2396
Mg 1.9677 3.0318 12.2986
Mg 0.0000 2.9997 9.6924
Mg 0.0000 5.5264 4.8864
```

energy of formation = 0.1531 eV/atom
magnetic moment = 0.00 μB/cell
E above lowest polymorph = 7 meV per atom
space group = Pm (6)

---

Record 9
# Mg15Si

Crystalline Mg15Si at its relaxed geometry (PBE, the Materials Project database).

Cell and atoms, written as extended XYZ:
```
16
Lattice="-6.2871 -0.5172 0.3418 3.2066 -3.2709 -4.3510 0.9974 -7.7749 6.5799" Properties=species:S:1:pos:R:3 pbc="T T T"
Mg 1.6397 -2.8164 -3.5764
Mg -3.9121 -8.0175 3.1440
Mg 2.1181 -6.6979 -0.2765
Mg 0.7475 -5.8269 4.9313
Mg 0.0208 -1.1651 -1.3799
Mg -2.3899 -6.1456 5.1251
Mg -1.3148 -3.7903 -0.3860
Mg -4.4216 -4.0459 -0.2171
Mg -2.6238 -5.3225 2.0675
Mg -0.8053 -7.7619 2.9751
Mg 0.5198 -5.0676 1.8923
Mg -1.5343 -3.0775 -3.4038
Mg -2.8994 -2.1741 1.7640
Mg -1.0157 -6.9558 -0.1061
Mg 0.2499 -1.9480 1.6486
Si -3.1225 -1.4351 -1.2224
```

energy of formation = 0.0304 eV/atom
magnetic moment = 0.00 μB/cell
space group = P-6m2 (187)

---

Record 10
# Mg2Si3

Crystalline Mg2Si3 at its relaxed geometry (PBE, the Materials Project database).

Cell and atoms, written as extended XYZ:
```
20
Lattice="-1.0555 -3.1764 -1.6565 -0.9662 -2.4655 5.1875 -17.5034 5.1861 -0.6350" Properties=species:S:1:pos:R:3 pbc="T T T"
Si -3.9517 -1.7045 -0.4268
Si -9.4707 0.4972 -1.4066
Si -13.0234 1.1368 4.1455
Si -8.1484 -2.6316 3.6686
Si -1.5395 -2.1211 2.8015
Si -9.7400 1.7130 0.6219
Si -17.1519 2.6092 0.5778
Si -16.3496 0.3910 0.0569
Si -12.0273 2.4372 0.9673
Si -6.8512 -0.6514 3.2631
Si -3.3145 -3.0252 1.4658
Si -15.1759 2.1057 3.6129
Mg -10.6596 0.6997 3.0096
Mg -1.4319 -0.6680 0.2976
Mg -17.6821 0.8982 3.0593
Mg -13.7980 0.4667 1.6688
Mg -14.2860 1.9917 -0.7429
Mg -8.6864 -1.0742 1.0323
Mg -5.4848 0.2819 0.8929
Mg -4.3664 -1.5586 3.7071
```

energy of formation = 0.1489 eV/atom
magnetic moment = 0.00 μB/cell
E above lowest polymorph = 70 meV per atom
space group = P1 (1)

---

Record 11
# Mg4Si7

Crystalline Mg4Si7 at its relaxed geometry (PBE, the Materials Project database).

Cell and atoms, written as extended XYZ:
```
22
Lattice="-2.9680 0.7293 -2.6869 -4.1102 -6.1735 2.8989 -2.5624 9.1775 8.2632" Properties=species:S:1:pos:R:3 pbc="T T T"
Si -6.7523 3.3133 9.5215
Si -3.9427 5.4297 7.0330
Si -3.6425 0.4993 -0.6522
Si -4.8516 8.7381 5.7183
Si -4.2219 -0.0251 2.9221
Si -5.0917 -2.4087 3.2521
Si -6.3845 6.5618 6.9492
Si -2.0006 -1.4203 0.0777
Si -2.0330 1.5375 0.9596
Si -3.3832 -3.5502 1.0881
Si -2.7286 3.6253 2.2452
Si -6.9423 -0.0609 5.8163
Si -4.0922 3.0398 6.6347
Si -4.4364 6.4788 4.7451
Mg -5.7454 1.2447 7.9354
Mg -5.2479 1.9366 4.5224
Mg -6.2438 -3.8316 1.0462
Mg -6.7260 3.9306 6.6690
Mg -2.3136 4.2345 4.9636
Mg -5.0170 2.1520 1.2749
Mg -7.1349 -0.3352 2.9358
Mg -5.2159 -1.1766 0.6235
```

energy of formation = 0.2144 eV/atom
magnetic moment = 0.01 μB/cell
E above lowest polymorph = 68 meV per atom
space group = P1 (1)

---

Record 12
# Mg2Si3

Crystalline Mg2Si3 at its relaxed geometry (PBE, the Materials Project database).

Cell and atoms, written as extended XYZ:
```
10
Lattice="-2.9822 0.0000 0.0000 -0.0854 -7.8524 0.0000 0.4581 2.7859 7.5737" Properties=species:S:1:pos:R:3 pbc="T T T"
Si -1.7272 0.1162 2.0370
Si -1.4423 -1.2976 6.3880
Si -0.8823 -5.1828 5.5367
Si -1.1672 -3.7689 1.1857
Si -2.0075 -2.2104 2.8783
Si -0.6020 -2.8561 4.6954
Mg -0.1092 0.1142 4.4836
Mg -2.9226 -1.5672 0.0293
Mg 0.3131 -3.4993 7.5444
Mg -2.5003 -5.1807 3.0901
```

energy of formation = 0.2215 eV/atom
magnetic moment = 0.00 μB/cell
E above lowest polymorph = 142 meV per atom
space group = P-1 (2)

---

Please write out number 10 again, unchanged.
# Mg2Si3

Crystalline Mg2Si3 at its relaxed geometry (PBE, the Materials Project database).

Cell and atoms, written as extended XYZ:
```
20
Lattice="-1.0555 -3.1764 -1.6565 -0.9662 -2.4655 5.1875 -17.5034 5.1861 -0.6350" Properties=species:S:1:pos:R:3 pbc="T T T"
Si -3.9517 -1.7045 -0.4268
Si -9.4707 0.4972 -1.4066
Si -13.0234 1.1368 4.1455
Si -8.1484 -2.6316 3.6686
Si -1.5395 -2.1211 2.8015
Si -9.7400 1.7130 0.6219
Si -17.1519 2.6092 0.5778
Si -16.3496 0.3910 0.0569
Si -12.0273 2.4372 0.9673
Si -6.8512 -0.6514 3.2631
Si -3.3145 -3.0252 1.4658
Si -15.1759 2.1057 3.6129
Mg -10.6596 0.6997 3.0096
Mg -1.4319 -0.6680 0.2976
Mg -17.6821 0.8982 3.0593
Mg -13.7980 0.4667 1.6688
Mg -14.2860 1.9917 -0.7429
Mg -8.6864 -1.0742 1.0323
Mg -5.4848 0.2819 0.8929
Mg -4.3664 -1.5586 3.7071
```

energy of formation = 0.1489 eV/atom
magnetic moment = 0.00 μB/cell
E above lowest polymorph = 70 meV per atom
space group = P1 (1)

---

Q: magnetic moment of number 10 (Mg2Si3)?
A: 0.00 μB/cell

---

Q: Which of these has the lowest energy of formation?
A: Mg15Si